(1)
Density functional theory data (r2SCAN) for a relaxed LiPmTl2 crystal.

The structure in POSCAR format:
```
LiPmTl2
1.0
0.445 -4.911 -1.715
-3.079 -3.737 1.954
-3.768 -2.086 -2.951
Li Pm Tl
1 1 2
Direct
0.250 0.250 0.250 Li
0.750 0.750 0.750 Pm
0.500 0.500 0.500 Tl
0.000 0.000 0.000 Tl
```

Computed properties:
* formation enthalpy at 0 K: -1.7 eV/f.u.
* volume: 25.2 Å³ per atom
* E: -35.00 eV per atom



(2)
Density functional theory data (r2SCAN) for a relaxed LiPmZn2 crystal.

The structure in POSCAR format:
```
LiPmZn2
1.0
-2.797 -1.559 3.617
-4.190 2.212 0.939
-4.176 -2.227 -0.964
Zn Li Pm
2 1 1
Direct
0.500 0.500 0.500 Zn
0.000 0.000 0.000 Zn
0.250 0.250 0.250 Li
0.750 0.750 0.750 Pm
```

Computed properties:
* formation enthalpy at 0 K: -1.1 eV/f.u.
* volume: 19.9 Å³ per atom
* E: -12.71 eV per atom



(3)
Density functional theory data (r2SCAN) for a relaxed LiPrZn2 crystal.

The structure in POSCAR format:
```
LiPrZn2
1.0
-1.190 -4.323 1.936
0.258 -0.666 4.831
-4.093 -0.457 2.624
Zn Li Pr
2 1 1
Direct
0.250 0.250 0.250 Zn
0.750 0.750 0.750 Zn
0.500 0.500 0.500 Li
0.000 0.000 0.000 Pr
```

Computed properties:
* formation enthalpy at 0 K: -1.0 eV/f.u.
* volume: 20.6 Å³ per atom
* E: -12.66 eV per atom



(4)
Density functional theory data (r2SCAN) for a relaxed Li3Pt crystal.

The structure in POSCAR format:
```
Li3Pt
1.0
3.393 0.377 2.537
0.607 3.575 2.223
-0.492 -0.014 4.225
Li Pt
3 1
Direct
0.000 0.000 0.000 Li
0.500 0.500 0.500 Li
0.250 0.250 0.250 Li
0.750 0.750 0.750 Pt
```

Computed properties:
* formation enthalpy at 0 K: -1.7 eV/f.u.
* volume: 13.6 Å³ per atom
* E: -15.10 eV per atom



(5)
Density functional theory data (r2SCAN) for a relaxed LiPt7 crystal.

The structure in POSCAR format:
```
LiPt7
1.0
4.777 0.000 2.758
1.592 4.503 2.758
0.000 0.000 5.516
Pt Li
7 1
Direct
0.500 0.000 0.000 Pt
0.500 0.000 0.500 Pt
0.000 0.000 0.000 Pt
0.500 0.500 0.000 Pt
0.000 0.000 0.500 Pt
0.000 0.500 0.500 Pt
0.000 0.500 0.000 Pt
0.500 0.500 0.500 Li
```

Computed properties:
* formation enthalpy at 0 K: -2.4 eV/f.u.
* volume: 14.8 Å³ per atom
* E: -45.65 eV per atom



(6)
Density functional theory data (r2SCAN) for a relaxed LiSc2Pt crystal.

The structure in POSCAR format:
```
LiSc2Pt
1.0
-2.589 -3.360 -1.927
-4.556 -0.258 0.940
-3.121 1.063 -3.291
Pt Sc Li
1 2 1
Direct
0.750 0.750 0.750 Pt
0.500 0.500 0.500 Sc
0.000 0.000 0.000 Sc
0.250 0.250 0.250 Li
```

Computed properties:
* formation enthalpy at 0 K: -3.1 eV/f.u.
* volume: 17.9 Å³ per atom
* E: -19.95 eV per atom